A plane-wave DFT calculation with PBE was carried out for Cs2LiInCl6 after structural relaxation.

Values from the calculation:
Corrected total energy (MP2020 scheme) = -3.77 eV/atom
ΔE_f = -2.015 eV per atom
Calculated volume = 1785 Å³/cell

a = 7.4725 Å, b = 7.4725 Å, c = 36.9047 Å
α = 90.00°, β = 90.00°, γ = 120.00°
Space group R-3m (No. 166, hexagonal axes)
Asymmetric unit:
1 Cs 0.0000 0.0000 0.1261
2 Cs 0.0000 0.0000 0.2893
3 Li 0.0000 0.0000 0.4109
4 In 0.0000 0.0000 0.0000
5 In 0.0000 0.0000 0.5000
6 Cl 0.0091 0.5045 0.7064
7 Cl 0.0205 0.5102 0.1247


A plane-wave DFT calculation with PBE was carried out for Cs2LiInCl6 after structural relaxation.

Values from the calculation:
Corrected total energy (MP2020 scheme) = -3.76 eV/atom
ΔE_f = -2.002 eV per atom
Calculated volume = 1155 Å³/cell

a = 10.494 Å, b = 10.494 Å, c = 10.494 Å
α = 90.00°, β = 90.00°, γ = 90.00°
Space group Fm-3m (No. 225)
Asymmetric unit:
1 Cs 0.250 0.250 0.250
2 Li 0.000 0.000 0.000
3 In 0.000 0.000 0.500
4 Cl 0.000 0.000 0.256


A plane-wave DFT calculation with PBE was carried out for Cs2NaInCl6 after structural relaxation.

Values from the calculation:
Corrected total energy (MP2020 scheme) = -3.71 eV/atom
ΔE_f = -2.019 eV per atom
Calculated volume = 1244 Å³/cell

a = 10.755 Å, b = 10.755 Å, c = 10.755 Å
α = 90.00°, β = 90.00°, γ = 90.00°
Space group Fm-3m (No. 225)
Asymmetric unit:
1 Cs 0.250 0.250 0.250
2 Na 0.000 0.000 0.000
3 In 0.000 0.000 0.500
4 Cl 0.000 0.000 0.262


- Which formula does entry 2 have?
  Cs2LiInCl6